No. 1
LiFe4P3O12 after structural relaxation, computed with GGA+U.

Geometry as POSCAR:
```
LiFe4P3O12
1.0
8.3578 0.0000 0.0000
0.0000 10.1122 0.0000
0.0000 0.0000 13.6589
O Fe P Li
48 16 12 4
direct
0.2755 0.3417 0.3415
0.7245 0.1583 0.8415
0.0992 0.1655 0.2678
0.6417 0.9255 0.1578
0.9008 0.8345 0.7322
0.2245 0.8417 0.3415
0.7245 0.6583 0.6585
0.8583 0.9255 0.3422
0.5992 0.8345 0.7678
0.6155 0.8219 0.4104
0.6616 0.8960 0.9744
0.3363 0.9308 0.5596
0.8384 0.8960 0.5256
0.1417 0.5745 0.8422
0.2755 0.8417 0.1585
0.1155 0.6781 0.5896
0.1417 0.0745 0.6578
0.3845 0.6781 0.9104
0.8363 0.0692 0.0596
0.0992 0.6655 0.2322
0.1616 0.6040 0.0256
0.3845 0.1781 0.5896
0.5992 0.3345 0.7322
0.9008 0.3345 0.7678
0.3384 0.1040 0.0256
0.1637 0.4308 0.5596
0.3583 0.5745 0.6578
0.1155 0.1781 0.9104
0.8384 0.3960 0.9744
0.6616 0.3960 0.5256
0.7755 0.1583 0.6585
0.1637 0.9308 0.9404
0.1616 0.1040 0.4744
0.3384 0.6040 0.4744
0.3363 0.4308 0.9404
0.7755 0.6583 0.8415
0.4008 0.6655 0.2678
0.3583 0.0745 0.8422
0.6637 0.0692 0.4404
0.6417 0.4255 0.3422
0.8845 0.8219 0.0896
0.6637 0.5692 0.0596
0.8363 0.5692 0.4404
0.8845 0.3219 0.4104
0.2245 0.3417 0.1585
0.6155 0.3219 0.0896
0.8583 0.4255 0.1578
0.4008 0.1655 0.2322
0.4238 0.5038 0.3513
0.9238 0.9962 0.6487
0.6135 0.1974 0.5467
0.3865 0.3026 0.0467
0.6135 0.6974 0.9533
0.1135 0.8026 0.0467
0.8865 0.6974 0.5467
0.3865 0.8026 0.4533
0.0762 0.5038 0.1487
0.5762 0.4962 0.6487
0.8865 0.1974 0.9533
0.4238 0.0038 0.1487
0.0762 0.0038 0.3513
0.9238 0.4962 0.8513
0.1135 0.3026 0.4533
0.5762 0.9962 0.8513
0.2500 0.2491 0.2500
0.7500 0.2509 0.7500
0.7391 0.4322 0.0699
0.7391 0.9322 0.4301
0.2609 0.0678 0.5699
0.2391 0.0678 0.9301
0.7609 0.9322 0.0699
0.2500 0.7491 0.2500
0.7609 0.4322 0.4301
0.7500 0.7509 0.7500
0.2391 0.5678 0.5699
0.2609 0.5678 0.9301
0.7500 0.8011 0.2500
0.7500 0.3011 0.2500
0.2500 0.1989 0.7500
0.2500 0.6989 0.7500
```

Summary:
**Crystal system**: orthorhombic
**Density**: 2.96 g cm⁻³
**DFT formation energy**: -2.305 eV per atom

No. 2
Li9Mn2Co5O16 after structural relaxation, computed with GGA+U.

Geometry as POSCAR:
```
Li9Mn2Co5O16
1.0
-4.4320 3.6670 -1.3545
-2.7719 -0.4892 -5.1963
-8.5465 -5.1024 1.8268
Li O Mn Co
9 16 2 5
direct
0.2487 0.7513 0.0000
0.2530 0.2456 0.5007
0.9978 0.4984 0.7527
0.5016 0.0022 0.2473
0.4946 0.9972 0.7557
0.7586 0.7446 0.9981
0.0028 0.5054 0.2443
0.2554 0.2414 0.0019
0.7544 0.7470 0.4993
0.8759 0.3422 0.6298
0.8816 0.3486 0.1329
0.6514 0.1184 0.8671
0.1248 0.6452 0.8631
0.3516 0.8762 0.6323
0.6578 0.1241 0.3702
0.8824 0.8918 0.6269
0.6208 0.6072 0.8706
0.3548 0.8752 0.1369
0.3807 0.3981 0.6198
0.8733 0.9040 0.1283
0.0960 0.1267 0.8717
0.1238 0.6484 0.3677
0.6019 0.6193 0.3802
0.1082 0.1176 0.3731
0.3928 0.3792 0.1294
0.0014 0.9985 0.7528
0.0015 0.9986 0.2472
0.7464 0.2536 0.5000
0.2497 0.7503 0.5000
0.7550 0.2450 0.0000
0.4936 0.5035 0.2416
0.4965 0.5064 0.7584
```

Summary:
**Crystal system**: monoclinic
**Density**: 4.15 g cm⁻³
**DFT formation energy**: -1.835 eV per atom

No. 3
NaHfCuWO6 after structural relaxation, computed with GGA+U.

Geometry as POSCAR:
```
NaHfCuWO6
1.0
0.0000 -4.0006 -4.0006
4.0006 0.0000 -4.0006
4.0006 -4.0006 0.0000
O W Na Cu Hf
6 1 1 1 1
direct
0.2576 0.7424 0.2576
0.7424 0.2576 0.2576
0.2576 0.7424 0.7424
0.7424 0.2576 0.7424
0.7424 0.7424 0.2576
0.2576 0.2576 0.7424
0.5000 0.5000 0.5000
0.2500 0.2500 0.2500
0.7500 0.7500 0.7500
0.0000 0.0000 0.0000
```

Summary:
**Crystal system**: cubic
**Density**: 7.07 g cm⁻³
**DFT formation energy**: -2.349 eV per atom

No. 4
MgCrCo2O6 after structural relaxation, computed with GGA+U.

Geometry as POSCAR:
```
MgCrCo2O6
1.0
5.8091 -2.7638 0.0701
-0.0038 -1.5722 2.5681
-3.4505 -4.1583 -2.5375
O Cr Co Mg
6 1 2 1
direct
0.0336 0.4726 0.2584
0.6913 0.1513 0.9174
0.3412 0.8410 0.5368
0.3193 0.8270 0.1016
0.6588 0.1706 0.4538
0.9789 0.5093 0.7494
0.3597 0.3376 0.3113
0.6440 0.6761 0.6964
0.9941 0.0021 0.9996
0.9992 0.9959 0.5020
```

Summary:
**Crystal system**: triclinic
**Density**: 4.41 g cm⁻³
**DFT formation energy**: -1.705 eV per atom

No. 5
Mn3OF5 after structural relaxation, computed with GGA+U.

Geometry as POSCAR:
```
Mn3OF5
1.0
-1.0160 2.2967 5.2905
4.1633 -1.7913 3.7364
4.9186 5.8685 1.0231
F Mn O
10 6 2
direct
0.8925 0.9063 0.8006
0.4328 0.4338 0.8660
0.0584 0.6192 0.1618
0.7589 0.7723 0.5394
0.2411 0.2277 0.4606
0.1075 0.0937 0.1994
0.5672 0.5662 0.1340
0.9416 0.3808 0.8382
0.6986 0.3185 0.4921
0.3014 0.6815 0.5079
0.0000 0.0000 0.0000
0.3273 0.3189 0.6750
0.6310 0.6958 0.8384
0.3690 0.3042 0.1616
0.0000 0.0000 0.5000
0.6727 0.6811 0.3250
0.6707 0.0170 0.1579
0.3293 0.9830 0.8421
```

Summary:
**Crystal system**: triclinic
**Density**: 3.94 g cm⁻³
**DFT formation energy**: -2.730 eV per atom

No. 6
ZnNi4O8 after structural relaxation, computed with GGA+U.

Geometry as POSCAR:
```
ZnNi4O8
1.0
-1.9365 -4.7364 2.5229
4.8954 -0.1486 3.4785
-3.4012 4.5872 6.0008
O Ni Zn
16 8 2
direct
0.5000 0.5456 0.2533
0.2695 0.2238 0.9772
0.2695 0.7762 0.0228
0.7305 0.7762 0.0228
0.7695 0.2761 0.5228
0.2305 0.2761 0.5228
0.5000 0.9595 0.2297
0.0000 0.4595 0.7298
0.7695 0.7239 0.4772
0.2305 0.7239 0.4772
0.0000 0.0456 0.7534
0.0000 0.5405 0.2702
0.5000 0.0405 0.7703
0.7305 0.2238 0.9772
0.5000 0.4544 0.7467
0.0000 0.9544 0.2466
0.5000 0.0000 0.0000
0.0000 0.5000 0.5000
0.2500 0.2500 0.7500
0.5000 0.5000 0.5000
0.7500 0.7500 0.2500
0.2500 0.7500 0.2500
0.0000 0.0000 0.0000
0.7500 0.2500 0.7500
0.5000 0.5000 0.0000
0.0000 0.0000 0.5000
```

Summary:
**Density**: 5.02 g cm⁻³
**DFT formation energy**: -0.955 eV per atom

No. 7
K8MgMn4O16 after structural relaxation, computed with GGA+U.

Geometry as POSCAR:
```
K8MgMn4O16
1.0
6.3236 -0.1254 -0.1874
-0.1743 8.0331 -0.1110
-5.0092 -0.0343 10.5771
O K Mn Mg
16 8 4 1
direct
0.7457 0.8939 0.6501
0.7625 0.8006 0.4249
0.7392 0.5559 0.5853
0.8458 0.2439 0.3386
0.2326 0.0119 0.9383
0.1642 0.7318 0.1561
0.2588 0.3295 0.8432
0.2800 0.1382 0.3695
0.1528 0.7534 0.6616
0.8442 0.1816 0.8521
0.2502 0.3089 0.0796
0.7154 0.6116 0.1050
0.2139 0.4649 0.3977
0.2282 0.2412 0.5740
0.8131 0.9498 0.1107
0.7920 0.7548 0.9104
0.2531 0.6369 0.9492
0.1951 0.8046 0.4168
0.5323 0.5088 0.2930
0.4843 0.0042 0.2163
0.7843 0.2237 0.5756
0.8246 0.2880 0.0900
0.4783 0.5174 0.7158
0.3905 0.0367 0.7633
0.8714 0.7633 0.0747
0.8510 0.7469 0.5788
0.1558 0.2220 0.9323
0.1418 0.2714 0.4185
0.8948 0.9376 0.8344
```

Summary:
**Crystal system**: triclinic
**Density**: 2.55 g cm⁻³
**DFT formation energy**: -1.768 eV per atom

No. 8
BaMnO3 after structural relaxation, computed with GGA+U.

Geometry as POSCAR:
```
BaMnO3
1.0
-2.4118 3.4292 3.9680
-1.6377 0.3796 -5.5223
-13.6507 -13.2325 3.1386
O Ba Mn
24 8 8
direct
0.1863 0.8137 0.6205
0.0000 0.5000 0.0000
0.5180 0.0361 0.2500
0.5000 0.0000 0.0000
0.9639 0.4820 0.2500
0.5180 0.4820 0.2500
0.4820 0.5180 0.7500
0.3726 0.1863 0.1205
0.0361 0.5180 0.7500
0.5000 0.5000 0.0000
0.8137 0.6274 0.3795
0.8137 0.1863 0.3795
0.3726 0.1863 0.3795
0.6274 0.8137 0.6205
0.4820 0.9639 0.7500
0.8137 0.1863 0.1205
0.0000 0.5000 0.5000
0.5000 0.0000 0.5000
0.8137 0.6274 0.1205
0.1863 0.8137 0.8795
0.6274 0.8137 0.8795
0.1863 0.3726 0.6205
0.1863 0.3726 0.8795
0.5000 0.5000 0.5000
0.6667 0.3333 0.6272
0.0000 0.0000 0.0000
0.0000 0.0000 0.2500
0.3333 0.6667 0.1272
0.3333 0.6667 0.3728
0.0000 0.0000 0.7500
0.6667 0.3333 0.8728
0.0000 0.0000 0.5000
0.6667 0.3333 0.4473
0.3333 0.6667 0.8153
0.6667 0.3333 0.0527
0.6667 0.3333 0.3153
0.3333 0.6667 0.9473
0.6667 0.3333 0.1847
0.3333 0.6667 0.5527
0.3333 0.6667 0.6847
```

Summary:
**Crystal system**: hexagonal
**Density**: 5.74 g cm⁻³
**DFT formation energy**: -2.468 eV per atom

No. 9
LiV2P3O12 after structural relaxation, computed with GGA+U.

Geometry as POSCAR:
```
LiV2P3O12
1.0
-7.8071 -2.7051 -1.9641
-5.8842 -0.4819 6.1049
-6.4965 5.5388 0.0221
O Li V P
24 2 4 6
direct
0.6856 0.3758 0.5167
0.0894 0.4458 0.7309
0.8127 0.5153 0.6178
0.3144 0.6242 0.4833
0.1873 0.4847 0.3822
0.5542 0.9106 0.7691
0.9404 0.2306 0.0815
0.3758 0.6856 0.0167
0.2306 0.9404 0.5815
0.9106 0.5542 0.2691
0.5153 0.8127 0.1178
0.4458 0.0894 0.2309
0.6242 0.3144 0.9833
0.7354 0.5817 0.9460
0.8722 0.9918 0.7019
0.2646 0.4183 0.0540
0.4847 0.1873 0.8822
0.4183 0.2646 0.5540
0.9918 0.8722 0.2019
0.0082 0.1278 0.7981
0.0596 0.7694 0.9185
0.7694 0.0596 0.4185
0.1278 0.0082 0.2981
0.5817 0.7354 0.4460
0.5000 0.0000 0.5000
0.0000 0.5000 0.0000
0.3625 0.8633 0.3525
0.8633 0.3625 0.8525
0.1367 0.6375 0.1475
0.6375 0.1367 0.6475
0.5425 0.7470 0.9642
0.0405 0.9595 0.7500
0.2530 0.4575 0.5358
0.9595 0.0405 0.2500
0.7470 0.5425 0.4642
0.4575 0.2530 0.0358
```

Summary:
**Crystal system**: monoclinic
**Density**: 2.96 g cm⁻³
**DFT formation energy**: -2.655 eV per atom

No. 10
KGdFe4O12 after structural relaxation, computed with GGA+U.

Geometry as POSCAR:
```
KGdFe4O12
1.0
0.0000 -3.6844 -3.6365
0.0000 -3.6844 3.6365
-7.3760 0.0000 0.0000
K O Fe Gd
1 12 4 1
direct
0.0105 0.9895 0.5000
0.2315 0.2319 0.7664
0.2940 0.7060 0.2631
0.0477 0.5275 0.0000
0.7067 0.2933 0.2037
0.4725 0.9523 0.0000
0.7067 0.2933 0.7963
0.7681 0.7685 0.2336
0.2940 0.7060 0.7369
0.5224 0.0340 0.5000
0.2315 0.2319 0.2336
0.9660 0.4776 0.5000
0.7681 0.7685 0.7664
0.9977 0.4990 0.7392
0.9977 0.4990 0.2608
0.5010 0.0023 0.7392
0.5010 0.0023 0.2608
0.4857 0.5143 0.0000
```

Summary:
**Crystal system**: orthorhombic
**Density**: 5.14 g cm⁻³
**DFT formation energy**: -0.940 eV per atom

No. 11
SrHfVSnO6 after structural relaxation, computed with GGA+U.

Geometry as POSCAR:
```
SrHfVSnO6
1.0
0.5299 3.5929 -4.3720
1.6519 -1.9333 -5.0830
-3.7043 -0.1980 -4.3061
V O Sr Hf Sn
1 6 1 1 1
direct
0.5000 0.5000 0.5000
0.7427 0.7427 0.2573
0.7427 0.2573 0.7427
0.2573 0.7427 0.7427
0.7427 0.2573 0.2573
0.2573 0.2573 0.7427
0.2573 0.7427 0.2573
0.7500 0.7500 0.7500
0.0000 0.0000 0.0000
0.2500 0.2500 0.2500
```

Summary:
**Crystal system**: cubic
**Density**: 6.80 g cm⁻³
**DFT formation energy**: -2.843 eV per atom

No. 12
CaMn7O8 after structural relaxation, computed with GGA+U.

Geometry as POSCAR:
```
CaMn7O8
1.0
3.2117 5.5714 0.0000
-3.2117 5.5714 0.0000
0.0000 1.8719 5.2434
Mn O Ca
7 8 1
direct
0.0000 0.0000 0.5000
0.2492 0.2492 0.0019
0.2473 0.7527 0.0000
0.7508 0.7508 0.9981
0.0000 0.5000 0.5000
0.7527 0.2473 0.0000
0.5000 0.0000 0.5000
0.3730 0.3730 0.2423
0.3704 0.8843 0.2452
0.1157 0.6296 0.7548
0.6296 0.1157 0.7548
0.6270 0.6270 0.7577
0.8750 0.8750 0.2536
0.1250 0.1250 0.7464
0.8843 0.3704 0.2452
0.5000 0.5000 0.5000
```

Summary:
**Crystal system**: monoclinic
**Density**: 4.89 g cm⁻³
**DFT formation energy**: -2.112 eV per atom